Computed, not measured: a geometry-optimized GdB12 structure at the PBE level of DFT.

POSCAR file:
```
GdB12
1.0
-3.7584 -3.7584 0.0000
-3.7584 0.0000 -3.7584
0.0000 -3.7584 -3.7584
B Gd
12 1
Direct
0.1627 0.8373 0.5000
0.1627 0.5000 0.8373
0.5000 0.8373 0.1627
0.8373 0.1627 0.5000
0.5000 0.1627 0.8373
0.5000 0.1627 0.5000
0.8373 0.5000 0.1627
0.8373 0.5000 0.5000
0.1627 0.5000 0.5000
0.5000 0.8373 0.5000
0.5000 0.5000 0.8373
0.5000 0.5000 0.1627
0.0000 0.0000 0.0000
```

Total DFT energy (no corrections): -97.4 eV for the cell shown
Space-group type: No. 225
Formation energy from the elements: -0.242 eV/atom